Run P
Compound: Ta3AgO8
Source: the Materials Project
Functional: PBE-GGA
Structure: optimized geometry

a b c (Å): 7.883 17.160 9.171
angles (deg): 90.00 90.00 90.00
Space group Pmmn (No. 59, origin choice 2)
Symmetry-distinct sites (fractional):
Ta 0.000 0.061 0.188 (multiplicity 8)
Ta 0.000 0.250 0.310 (multiplicity 4)
Ta 0.002 0.136 0.603 (multiplicity 8)
Ta 0.003 0.250 0.951 (multiplicity 4)
Ag 0.250 0.000 0.502 (multiplicity 4)
Ag 0.250 0.592 0.095 (multiplicity 4)
O 0.000 0.000 0.000 (multiplicity 4)
O 0.001 0.131 0.379 (multiplicity 8)
O 0.009 0.175 0.126 (multiplicity 8)
O 0.009 0.750 0.460 (multiplicity 4)
O 0.012 0.668 0.195 (multiplicity 8)
O 0.013 0.025 0.669 (multiplicity 8)
O 0.250 0.054 0.189 (multiplicity 4)
O 0.250 0.138 0.600 (multiplicity 4)
O 0.250 0.250 0.316 (multiplicity 2)
O 0.250 0.250 0.945 (multiplicity 2)
O 0.250 0.566 0.824 (multiplicity 4)
O 0.250 0.626 0.405 (multiplicity 4)
O 0.250 0.750 0.034 (multiplicity 2)
O 0.250 0.750 0.695 (multiplicity 2)

=====

Run Q
Compound: Ta3AgO8
Source: the Materials Project
Functional: PBE-GGA
Structure: optimized geometry

a b c (Å): 7.362 10.617 7.022
angles (deg): 90.00 90.00 90.00
Space group Ibam (No. 72)
Symmetry-distinct sites (fractional):
Ta 0.000 0.000 0.250 (multiplicity 4)
Ta 0.239 0.233 0.000 (multiplicity 8)
Ag 0.000 0.500 0.250 (multiplicity 4)
O 0.008 0.323 0.500 (multiplicity 8)
O 0.119 0.066 0.000 (multiplicity 8)
O 0.190 0.145 0.295 (multiplicity 16)

=====

Stability check: which of them is most stable? run P.